LuMoClO4 GGA+U optimized geometry; raw total energy = -98.5 eV for the cell shown; space group = P-1 (2); energy of formation = -2.60 eV/atom
1.0
5.940 0.000 0.000
2.106 6.150 0.000
1.460 1.587 6.597
Lu Mo Cl O
2 2 2 8
direct
0.242 0.198 0.369
0.758 0.802 0.631
0.376 0.356 0.767
0.624 0.644 0.233
0.010 0.025 0.726
0.990 0.975 0.274
0.091 0.523 0.690
0.344 0.250 0.034
0.423 0.474 0.298
0.478 0.130 0.629
0.522 0.870 0.371
0.577 0.526 0.702
0.656 0.750 0.966
0.909 0.477 0.310